This record from the Materials Project describes a relaxed structure of Na10Nb7GaSi12O48. The functional is PBE-GGA.

```
Na10Nb7GaSi12O48
1.0
-11.9437 12.7044 -4.6989
0.1407 -7.9037 -4.3690
-14.7640 -8.4240 14.7699
O Na Si Nb Ga
144 30 36 21 3
Cartesian
-17.1436 0.0059 6.5673
-17.2639 4.3176 -0.2766
-8.8127 -5.7486 4.2375
-20.6592 -5.4214 5.7204
-8.4148 5.5500 -2.1745
-4.4858 2.8824 -1.9845
-17.8237 2.1692 1.5047
-24.1371 -2.7894 5.5296
-9.0006 3.3838 -0.3930
-7.3473 -4.6424 2.2787
-12.0821 -3.5801 0.0021
-14.4896 7.1058 -2.0047
-6.7764 -4.2840 -0.4462
-14.7284 0.5828 1.8908
-3.9936 -4.2653 -3.7589
-5.8907 1.7738 -0.0348
-5.4489 -6.7600 -0.5372
-12.0179 -0.8437 -0.1379
-18.9895 -0.4912 8.3818
-10.1060 -7.2817 2.1194
-9.3543 -7.8528 6.0000
-24.6637 1.1600 7.6963
-5.9810 -7.2047 2.1457
-13.4302 -10.2754 10.1905
-5.0244 -0.9213 -0.5981
-20.2435 -7.9715 6.4591
-20.6961 3.5716 3.5564
-15.8228 2.3479 5.7603
-9.1870 4.0189 -4.2774
-14.6878 -2.7770 5.8945
-4.7258 -4.8332 1.2808
-19.5349 0.2505 0.8350
-14.1405 -9.5791 6.3045
-5.2788 0.9271 -3.8966
-18.8751 -1.8444 5.9925
-13.0175 -6.8460 10.7295
-11.4148 -6.7835 4.5386
-13.2715 6.7222 -4.4574
-11.4974 -0.3926 -2.9377
-14.1435 -0.2751 -2.0065
-22.1062 -6.5356 7.6747
-14.4846 -0.0709 5.6964
-21.2472 -4.5448 9.5519
-16.5603 3.5461 3.5901
-13.1832 -5.4133 5.8590
-21.5682 -2.7463 6.3345
-3.7075 -8.2336 -1.7620
-20.8007 -2.0450 1.7464
-18.6531 -5.1755 10.0323
-7.0081 -3.9237 4.8623
-18.0465 -4.4002 5.3511
-18.4492 3.1014 5.4769
-10.5556 -9.3305 3.9315
-16.0900 -12.8269 10.0090
-7.5368 -3.0706 -2.6853
-10.3789 2.1800 1.5466
-15.3718 2.7162 -3.3364
-18.1564 -9.1403 7.8764
-16.8857 -1.6989 9.8009
-22.5958 0.6463 9.4668
-16.2613 8.6526 -0.8297
-10.3075 -12.2469 6.5061
-15.5862 -9.0768 8.6635
-7.0492 -0.9527 -4.5598
-20.4680 6.2755 3.3525
-15.1734 3.1724 1.1340
-9.8437 -4.0061 8.0993
-21.8438 1.2217 4.4440
-12.9622 5.3571 -6.8178
-9.3937 -3.6998 -0.9328
-17.4079 -10.3246 10.1263
-21.0843 3.0930 6.3010
-14.6693 -11.7742 8.0409
-15.1116 -3.2538 8.6441
-13.4455 3.2465 -5.0474
-10.6000 -2.7871 5.9483
-6.0998 -9.9021 2.3366
-10.5523 9.2015 -4.3320
-23.5577 -0.6491 3.7666
-12.0717 -10.7498 7.7061
-10.8157 -6.0527 -0.1210
-16.5341 -2.9813 1.5715
-23.3455 -1.2762 7.6161
-5.7099 -1.5946 3.9357
-11.8543 -4.1932 3.8590
-11.6065 4.7706 1.5914
-10.7193 1.5613 -1.0546
-16.5999 -5.7069 11.8003
-11.0309 5.3229 -3.0194
-9.1699 6.7429 -4.3551
-8.1980 -6.6414 0.3978
-1.8938 -4.7797 -1.9903
-12.8951 -8.1975 8.3430
-9.1981 -3.1985 3.4852
-16.2788 -5.8957 4.1560
-7.1478 0.3065 -2.1379
-12.4384 5.9590 -0.5934
-9.6587 -1.8284 -4.2073
-9.9696 2.1214 -6.1094
-15.3173 -10.9039 12.0003
-7.6402 -1.8157 -0.2454
-11.1697 -6.3404 8.9185
-11.8277 8.1254 -2.2169
-12.9695 2.3837 2.5040
-2.9864 -2.9888 1.8697
-13.3196 1.7045 -0.0727
-11.3049 -1.9958 2.0750
-16.0390 -0.9092 -0.2304
-16.0220 5.7148 1.7764
-8.5270 0.7644 0.3134
-14.8296 -8.3944 4.0915
-6.4317 -0.4109 1.7369
-19.5444 -2.6350 10.2017
-12.4738 -3.2518 7.8241
-23.4475 -3.9674 7.7938
-6.3211 4.3403 -0.7564
-3.1831 0.3597 -2.0680
-19.1539 0.9303 3.5097
-2.4167 -0.8767 0.1516
-13.8264 -5.6642 8.5270
-17.3777 -0.4193 2.1796
-17.5849 -6.9956 6.1195
-7.9180 1.5114 -4.3738
-19.8008 0.6868 6.1789
-18.6826 4.7833 2.2014
-17.3595 -7.6125 9.9493
-7.8724 -8.3772 3.5703
-15.8695 -5.1234 6.7888
-16.7305 0.3569 -2.4412
-15.3278 -1.4946 3.6507
-13.6596 4.5744 -2.6195
-12.7008 -1.5225 4.4861
-12.7593 2.0361 -2.8429
-11.2542 7.1906 -6.1868
-12.2912 10.7051 -3.1131
-19.3615 -3.9036 7.8303
-13.8556 -2.0722 1.2504
-13.5631 -6.0949 3.1766
-14.2687 -14.3274 8.8081
-20.1154 -3.2296 3.9599
-13.5660 -8.9944 12.5462
-3.1870 -2.3827 -1.8470
-22.8556 4.6498 7.4556
-10.0837 -0.6210 4.0722
-11.8002 3.7805 -1.2094
-20.6706 -2.1280 12.4222
-8.8404 -1.2020 1.8896
-14.8047 5.1586 -0.4603
-13.2022 -5.6104 0.6977
-19.2477 2.3727 7.7432
-18.4450 -2.0087 0.4534
-16.3753 0.7211 4.0853
-5.8139 -2.6658 1.2187
-19.1408 0.6838 -1.6901
-14.7148 -7.1965 6.8235
-11.8813 0.2651 2.5837
-12.4698 -8.3515 2.8173
-13.3824 8.2178 -0.2406
-14.6384 -16.2363 10.3377
-16.2356 -5.4227 9.2906
-8.9045 -0.0994 -6.0430
-20.6834 -0.8361 4.4643
-1.3701 -3.1519 -0.3130
-16.8702 -2.8887 7.0984
-10.2166 1.7722 -3.4999
-4.4204 -4.5761 -1.3852
-13.2834 -3.9810 10.1040
-10.4008 -5.6525 6.4496
-22.8414 3.4604 4.7444
-11.6724 -8.8182 6.1559
-22.2041 0.9402 6.9296
-17.6421 -2.4652 3.8026
-15.4298 5.6596 -3.7461
-11.0867 4.3731 -5.7061
-16.9293 -5.5732 5.6554
-21.2798 4.5197 7.0400
-9.7654 -7.1221 0.5266
-10.9250 -2.8819 7.5704
-15.7070 -0.7607 -1.8364
-22.9043 0.7768 3.3082
-20.2730 4.7943 2.6013
-18.5199 0.7871 2.0267
-9.4641 5.4125 -3.4314
-12.8440 6.8042 -6.0199
-13.7653 -10.4397 11.8110
-19.6740 -4.0689 9.4503
-12.7699 -6.7419 9.1146
-6.2849 -8.4924 3.1225
-15.5626 8.2898 -2.2713
-7.8384 -3.1987 -1.0850
-21.3778 -6.8267 6.2335
-5.4499 -0.2681 3.0229
-9.6219 1.9521 0.1094
-23.1535 -2.6802 6.8213
-13.7961 3.1766 -3.4316
-12.5576 -5.5911 4.3822
-16.8980 3.4670 5.1902
-14.0787 2.0041 1.3559
-14.2883 -1.5476 4.9360
-12.2850 -2.1792 0.7839
-8.0768 -4.3717 3.7249
-17.1697 -9.0162 9.1676
-11.2057 9.4833 -2.8527
-11.3697 6.0999 0.6209
-15.3932 -13.1725 8.5687
-6.8210 0.4518 -3.7448
-15.3079 -1.8296 9.3893
-3.4720 -0.9357 -1.1289
-5.1881 3.1717 -0.5497
-18.7449 -0.3911 6.7682
-12.4570 0.5479 -1.4287
-17.0472 1.7922 -3.8056
-6.5435 -5.7934 0.8927
-7.9241 -2.7988 -4.5711
-15.3626 -6.9560 2.8233
-13.9275 -10.0108 8.3392
-9.5420 -7.5647 4.0033
-19.8962 -3.6580 5.9841
-16.9695 3.9351 1.6734
-6.7385 0.0618 -0.2746
-2.1763 -1.1794 2.1233
-2.2449 -3.3468 -3.4221
-11.0631 -4.5026 -1.4768
-12.6434 -7.2187 12.6426
-8.1348 3.0474 -5.7012
-21.3269 -0.6030 0.4807
-15.5416 -1.2184 1.6442
-10.9687 -2.4863 4.0588
-18.3555 -6.6336 11.4154
-24.3426 -0.2848 9.0639
-18.4730 -8.7604 5.9338
-12.6314 6.3859 -2.6348
-14.0588 -4.1684 7.0964
-20.0255 2.1835 4.7402
```

Output
Magnetic moment in μB per formula unit: 0.00
Space group: P1
Theoretical density in g/cm3: 3.2
Total energy in eV per formula unit: -586.87

This record from the Materials Project describes a relaxed structure of NaGaO2. The functional is PBE-GGA.

```
NaGaO2
1.0
5.3896 0.0000 0.0000
0.0000 5.6138 0.0000
0.0000 0.0000 7.2377
O Ga Na
8 4 4
Cartesian
0.8416 2.5794 4.2613
3.1293 3.4521 6.0572
3.5364 3.0344 2.9764
0.8416 5.3863 6.5953
0.4345 2.1617 1.1805
3.1293 0.6452 4.7994
0.4345 4.9686 2.4383
3.5364 0.2275 0.6424
5.3874 0.3534 0.9128
2.6926 5.2604 6.3249
2.6926 2.4535 4.5316
5.3874 3.1603 2.7061
0.0708 0.3947 4.5059
0.0708 3.2016 6.3507
2.7656 2.4122 0.8870
2.7656 5.2191 2.7318
```

Output
Largest piezoelectric modulus in C/m²: 1.47
Space group: Pna2_1
Theoretical density in g/cm3: 3.8
Total energy in eV per formula unit: -21.76

This record from the Materials Project describes a relaxed structure of Na8Ga42O67. The functional is PBE-GGA.

```
Na8Ga42O67
1.0
-5.1026 0.0420 -3.1179
-1.3172 9.2316 7.9837
9.3033 10.6371 -15.1383
O Ga Na
67 42 8
Cartesian
-1.1354 1.6398 -0.9813
3.3908 12.2587 -14.0534
1.0921 8.2731 -7.6312
5.9524 11.0052 -9.7071
3.5977 9.6829 -8.6329
6.4417 15.4114 -7.6594
3.2479 8.1634 -11.0891
4.0372 12.8285 -3.8896
1.8061 15.7781 -5.5654
1.7484 10.3693 -0.0566
6.3616 16.9074 -10.3718
-3.0015 11.6746 -0.8419
-3.5411 3.0465 0.0797
6.2727 14.1256 -10.5725
-1.2787 7.0642 -6.4833
-1.4007 4.1074 -6.2020
-2.6651 10.3425 1.7715
0.9185 9.7321 -10.2709
3.9392 15.5053 -9.1495
6.6463 18.4424 -7.8709
-2.7478 8.9804 4.4442
5.6334 10.9717 -14.9464
1.6223 12.8954 -5.3553
5.9238 12.1912 -12.5526
3.4147 6.7429 -8.3604
3.3796 11.0205 -11.2576
-0.9403 11.6698 -4.2685
-1.2653 2.8797 -3.7286
5.7648 8.2132 -9.4364
-3.5965 4.6429 -2.7352
4.1789 15.7499 -4.0961
-0.9282 3.0827 1.4639
1.5588 8.5115 -2.2165
1.2149 11.0093 -7.3804
-0.4160 10.3524 3.1411
1.6593 11.5946 -2.8023
1.7239 16.7225 -8.4961
1.4561 14.1703 -8.0851
3.9540 14.3209 -6.4357
-0.5390 11.7529 0.7839
3.2086 9.4723 -13.4815
-1.0564 5.5388 -3.9287
-3.0130 7.4569 2.1281
1.1266 7.1234 -5.0791
-0.5951 8.8591 0.8486
4.1066 17.0419 -6.6221
5.4300 9.4513 -12.0967
1.0883 3.2072 -1.8573
2.0341 13.1513 -0.2908
3.6812 8.2586 -6.0937
0.7229 6.7568 -9.9928
-1.0620 4.6064 -1.1373
-0.8482 10.2827 -1.7021
8.3732 11.0958 -13.6447
1.3938 5.7771 -2.2640
-3.1685 8.8894 -0.6815
3.5362 5.5348 -5.8562
1.8411 14.2608 -2.9836
-5.4546 8.8330 3.2021
4.0418 18.4923 -9.4482
-0.7598 14.3729 -4.4649
-3.7410 1.7335 -2.5470
3.7436 16.8715 -11.7689
1.0209 4.1104 -4.7416
0.9231 5.5786 -7.3198
-0.6826 13.1461 -1.9478
-0.5999 7.5221 3.6707
-1.6100 7.4246 5.5204
4.7484 18.4860 -7.6822
4.6332 5.3610 -7.6526
-4.0016 8.0856 0.7653
2.0454 9.8277 -11.9523
1.7542 9.7838 -8.6434
1.9317 7.1593 -3.4506
-0.0818 15.9418 -5.5304
6.9350 12.3144 -14.1443
-1.9116 1.3351 -2.6696
2.6672 6.7214 -10.1608
0.0511 4.4334 -2.8394
4.3330 12.3907 -15.6844
-1.9576 11.6885 -2.6006
4.4180 11.0312 -12.9452
-1.5782 11.7970 2.5560
4.5805 9.8254 -10.3854
4.3654 8.0723 -12.8785
0.6715 10.2084 1.5614
7.9507 19.7914 -7.2001
-4.1987 7.4848 3.9969
-2.5549 4.3279 -4.4348
6.6132 12.3639 -10.7934
2.9285 4.0323 -4.8480
-1.6782 8.8085 2.6758
-1.7859 10.2125 0.0435
-2.7588 3.9053 -1.2795
2.8706 15.4666 -7.5391
1.0284 10.2144 -1.7917
0.0749 3.1134 -0.1601
2.2782 7.0816 -6.7183
0.8337 12.7914 -7.0904
5.4654 15.4236 -5.9814
0.1346 13.1930 -0.2289
-0.0976 5.6354 -5.6332
2.7572 16.5691 -10.1662
4.7345 8.4144 -7.7802
3.0857 12.8367 -2.2380
-0.2893 7.0781 -8.2343
5.7624 15.3317 -9.3727
2.9667 14.2496 -4.8095
0.5457 12.8699 -3.7900
-2.0883 8.7584 -2.5779
-0.2354 6.7712 -0.4147
7.5892 9.4012 -12.4275
-2.4732 4.6881 2.7673
-4.8451 10.6090 2.1487
0.0033 9.5888 -6.0053
3.4306 11.0620 -6.1944
-2.3119 7.1419 -4.1969
```

Output
Magnetic moment in μB per formula unit: 0.00
Space group: P1
Theoretical density in g/cm3: 4.8
Total energy in eV per formula unit: -678.58

This record from the Materials Project describes a relaxed structure of NaGaO2. The functional is PBE-GGA.

```
NaGaO2
1.0
5.3980 0.0000 0.0000
0.0000 10.7825 0.0000
0.0000 0.0000 14.9098
Ga Na O
16 16 32
Cartesian
4.3363 5.6564 4.6652
4.3413 2.9910 6.5291
3.7557 8.3823 6.5291
4.3413 2.4002 13.9840
1.0567 8.3823 0.9258
1.0567 7.7915 8.3806
4.3363 10.5174 12.1201
3.7557 7.7915 13.9840
1.6423 2.9910 0.9258
1.6423 2.4002 8.3806
1.6373 10.5174 10.2445
1.6373 5.6564 2.7897
1.0617 0.2651 2.7897
3.7608 5.1261 12.1201
3.7608 0.2651 4.6652
1.0617 5.1261 10.2445
4.2113 5.2211 0.9402
1.0007 7.8372 12.0837
1.5123 5.2211 6.5147
1.0007 8.3366 4.6288
4.3974 2.4459 10.2809
1.6984 2.9453 4.6288
3.6997 8.3366 2.8261
1.1868 5.5614 13.9695
1.1868 10.6124 6.5147
1.6984 2.4459 12.0837
1.5123 0.1701 13.9695
4.3974 2.9453 2.8261
3.8858 5.5614 8.3951
3.6997 7.8372 10.2809
4.2113 0.1701 8.3951
3.8858 10.6124 0.9402
3.8165 4.7749 6.2270
1.5816 6.0076 8.6827
4.1936 7.4973 4.9453
1.9007 7.8468 14.2600
4.2806 10.1662 6.2270
3.4974 2.9358 0.6497
3.9034 2.1060 4.9453
3.8165 0.6164 13.6819
4.6778 5.6127 10.5699
1.9007 8.3270 6.8052
3.4193 5.1699 3.1150
1.2044 3.2852 9.9645
4.1936 8.6765 12.4002
1.5816 10.1662 1.2278
3.4193 0.2214 10.5699
0.7203 0.2214 11.7947
4.6778 10.5611 3.1150
4.2806 6.0076 13.6819
1.4946 8.6765 9.9645
3.4974 2.4555 8.1046
3.9034 3.2852 12.4002
1.2044 2.1060 2.5096
1.1174 0.6164 8.6827
0.7203 5.1699 4.3398
4.5997 7.8468 8.1046
4.5997 8.3270 0.6497
0.7984 2.9358 6.8052
1.1174 4.7749 1.2278
0.7984 2.4555 14.2600
1.4946 7.4973 2.5096
1.9788 5.6127 11.7947
1.9788 10.5611 4.3398
```

Output
Magnetic moment in μB per formula unit: 0.00
Space group: Pbca
Theoretical density in g/cm3: 3.8
Total energy in eV per formula unit: -21.71